No. 1
VASP calculation (PBE with a Hubbard U) on a relaxed Ti3CoNi2P6O24 crystal.

Calculated values
ρ = 3.33 g/cm3
MP2020-corrected energy = -289.619 eV/cell
Crystal system = trigonal

Cell: 8.4988 8.4988 8.4988 Å, 61.05 61.05 61.05°
Last column: nearest neighbours and their distance in Å.
Positions (direct):
1 Ti 0.0000 0.0000 0.0000  6 O 1.87-2.03
2 Ti 0.2118 0.2118 0.2118  6 O 1.89-2.06
3 Ti 0.7092 0.7092 0.7092  6 O 1.88-2.09
4 Co 0.4990 0.4990 0.4990  6 O 1.98-2.15
5 Ni 0.3575 0.3575 0.3575  6 O 2.11-2.18
6 Ni 0.8559 0.8559 0.8559  6 O 2.17-2.18
7 P 0.1048 0.8087 0.4013  4 O 1.52-1.56
8 P 0.3074 0.6027 0.9003  4 O 1.49-1.57
9 P 0.4013 0.1048 0.8087  4 O 1.52-1.56
10 P 0.6027 0.9003 0.3074  4 O 1.49-1.57
11 P 0.8087 0.4013 0.1048  4 O 1.52-1.56
12 P 0.9003 0.3074 0.6027  4 O 1.49-1.57
13 O 0.0290 0.8666 0.2411  1 P 1.55
14 O 0.1002 0.2967 0.4454  1 P 1.57
15 O 0.1113 0.7669 0.9216  1 P 1.57
16 O 0.1697 0.9740 0.3529  1 P 1.56
17 O 0.2411 0.0290 0.8666  1 P 1.55
18 O 0.2573 0.6157 0.4076  1 P 1.52
19 O 0.2967 0.4454 0.1002  1 P 1.57
20 O 0.3398 0.5379 0.7494  1 P 1.49
21 O 0.3529 0.1697 0.9740  1 P 1.56
22 O 0.4076 0.2573 0.6157  1 P 1.52
23 O 0.4454 0.1002 0.2967  1 P 1.57
24 O 0.4729 0.6696 0.8518  1 P 1.57
25 O 0.5379 0.7494 0.3398  1 P 1.49
26 O 0.5967 0.9416 0.8020  1 P 1.56
27 O 0.6157 0.4076 0.2573  1 P 1.52
28 O 0.6696 0.8518 0.4729  1 P 1.57
29 O 0.7494 0.3398 0.5379  1 P 1.49
30 O 0.7669 0.9216 0.1113  1 P 1.57
31 O 0.8020 0.5967 0.9416  1 P 1.56
32 O 0.8518 0.4729 0.6696  1 P 1.57
33 O 0.8666 0.2411 0.0290  1 P 1.55
34 O 0.9216 0.1113 0.7669  1 P 1.57
35 O 0.9416 0.8020 0.5967  1 P 1.56
36 O 0.9740 0.3529 0.1697  1 P 1.56

---

No. 2
VASP calculation (PBE with a Hubbard U) on a relaxed V3CoNi2P6O24 crystal.

Calculated values
ρ = 3.41 g/cm3
MP2020-corrected energy = -283.953 eV/cell
Crystal system = trigonal

Cell: 8.4479 8.4479 8.4479 Å, 61.26 61.26 61.26°
Last column: nearest neighbours and their distance in Å.
Positions (direct):
1 V 0.0000 0.0000 0.0000  6 O 1.90-2.02
2 V 0.2152 0.2152 0.2152  6 O 1.92-2.03
3 V 0.7144 0.7144 0.7144  6 O 1.91-2.03
4 Co 0.4998 0.4998 0.4998  6 O 1.93-2.07
5 Ni 0.3588 0.3588 0.3588  6 O 2.12-2.18
6 Ni 0.8575 0.8575 0.8575  6 O 2.16
7 P 0.1085 0.8115 0.4009  4 O 1.54-1.57
8 P 0.3135 0.6059 0.8985  4 O 1.51-1.57
9 P 0.4009 0.1085 0.8115  4 O 1.54-1.57
10 P 0.6059 0.8985 0.3135  4 O 1.51-1.57
11 P 0.8115 0.4009 0.1085  4 O 1.54-1.57
12 P 0.8985 0.3135 0.6059  4 O 1.51-1.57
13 O 0.0365 0.8574 0.2420  1 P 1.54
14 O 0.0985 0.3001 0.4462  1 P 1.57
15 O 0.1149 0.7692 0.9174  1 P 1.57
16 O 0.1720 0.9731 0.3618  1 P 1.54
17 O 0.2420 0.0365 0.8574  1 P 1.54
18 O 0.2658 0.6157 0.4114  1 P 1.54
19 O 0.3001 0.4462 0.0985  1 P 1.57
20 O 0.3470 0.5413 0.7436  1 P 1.51
21 O 0.3618 0.1720 0.9731  1 P 1.54
22 O 0.4114 0.2658 0.6157  1 P 1.54
23 O 0.4462 0.0985 0.3001  1 P 1.57
24 O 0.4736 0.6734 0.8589  1 P 1.55
25 O 0.5413 0.7436 0.3470  1 P 1.51
26 O 0.5996 0.9458 0.7980  1 P 1.57
27 O 0.6157 0.4114 0.2658  1 P 1.54
28 O 0.6734 0.8589 0.4736  1 P 1.55
29 O 0.7436 0.3470 0.5413  1 P 1.51
30 O 0.7692 0.9174 0.1149  1 P 1.57
31 O 0.7980 0.5996 0.9458  1 P 1.57
32 O 0.8574 0.2420 0.0365  1 P 1.54
33 O 0.8589 0.4736 0.6734  1 P 1.55
34 O 0.9174 0.1149 0.7692  1 P 1.57
35 O 0.9458 0.7980 0.5996  1 P 1.57
36 O 0.9731 0.3618 0.1720  1 P 1.54

---

No. 3
VASP calculation (PBE with a Hubbard U) on a relaxed ZnCoNiP2O9 crystal.

Calculated values
ρ = 4.05 g/cm3
MP2020-corrected energy = -388.691 eV/cell
Crystal system = orthorhombic

Cell: 14.0645 6.2378 7.2801 Å, 90.00 90.00 90.00°
Last column: nearest neighbours and their distance in Å.
Positions (direct):
1 Zn 0.2250 0.2500 0.1220  5 O 2.15-2.38
2 Zn 0.2750 0.7500 0.6220  5 O 2.15-2.38
3 Zn 0.7250 0.2500 0.3780  5 O 2.15-2.38
4 Zn 0.7750 0.7500 0.8780  5 O 2.15-2.38
5 Co 0.1181 0.2500 0.6510  2 O 1.74-1.89
6 Co 0.3819 0.7500 0.1510  2 O 1.74-1.89
7 Co 0.6181 0.2500 0.8490  2 O 1.74-1.89
8 Co 0.8819 0.7500 0.3490  2 O 1.74-1.89
9 Ni 0.0000 0.0000 0.0000  6 O 1.99-2.15
10 Ni 0.0000 0.5000 0.0000  6 O 1.99-2.15
11 Ni 0.5000 0.0000 0.5000  6 O 1.99-2.15
12 Ni 0.5000 0.5000 0.5000  6 O 1.99-2.15
13 P 0.0666 0.7500 0.6454  4 O 1.51-1.55
14 P 0.1999 0.7500 0.1156  4 O 1.56-1.57
15 P 0.3001 0.2500 0.6156  4 O 1.56-1.57
16 P 0.4334 0.2500 0.1454  4 O 1.51-1.55
17 P 0.5666 0.7500 0.8546  4 O 1.51-1.55
18 P 0.6999 0.7500 0.3844  4 O 1.56-1.57
19 P 0.8001 0.2500 0.8844  4 O 1.56-1.57
20 P 0.9334 0.2500 0.3546  4 O 1.51-1.55
21 O 0.0082 0.2500 0.5025  1 P 1.51
22 O 0.0177 0.7500 0.8341  1 P 1.54
23 O 0.0503 0.2500 0.8513  1 Co 1.74
24 O 0.1385 0.5617 0.6315  1 P 1.55
25 O 0.1385 0.9383 0.6315  1 P 1.55
26 O 0.1415 0.5385 0.1057  1 P 1.56
27 O 0.1415 0.9615 0.1057  1 P 1.56
28 O 0.2222 0.2500 0.4602  1 P 1.57
29 O 0.2390 0.2500 0.7961  1 P 1.57
30 O 0.2610 0.7500 0.2961  1 P 1.57
31 O 0.2778 0.7500 0.9602  1 P 1.57
32 O 0.3585 0.0385 0.6057  1 P 1.56
33 O 0.3585 0.4615 0.6057  1 P 1.56
34 O 0.3615 0.0617 0.1315  1 P 1.55
35 O 0.3615 0.4383 0.1315  1 P 1.55
36 O 0.4497 0.7500 0.3513  1 Co 1.74
37 O 0.4823 0.2500 0.3341  1 P 1.54
38 O 0.4918 0.7500 0.0025  1 P 1.51
39 O 0.5082 0.2500 0.9975  1 P 1.51
40 O 0.5177 0.7500 0.6659  1 P 1.54
41 O 0.5503 0.2500 0.6487  1 Co 1.74
42 O 0.6385 0.5617 0.8685  1 P 1.55
43 O 0.6385 0.9383 0.8685  1 P 1.55
44 O 0.6415 0.5385 0.3943  1 P 1.56
45 O 0.6415 0.9615 0.3943  1 P 1.56
46 O 0.7222 0.2500 0.0398  1 P 1.57
47 O 0.7390 0.2500 0.7039  1 P 1.57
48 O 0.7610 0.7500 0.2039  1 P 1.57
49 O 0.7778 0.7500 0.5398  1 P 1.57
50 O 0.8585 0.0385 0.8943  1 P 1.56
51 O 0.8585 0.4615 0.8943  1 P 1.56
52 O 0.8615 0.0617 0.3685  1 P 1.55
53 O 0.8615 0.4383 0.3685  1 P 1.55
54 O 0.9497 0.7500 0.1487  1 Co 1.74
55 O 0.9823 0.2500 0.1659  1 P 1.54
56 O 0.9918 0.7500 0.4975  1 P 1.51

---

No. 4
VASP calculation (PBE with a Hubbard U) on a relaxed Sm2CoNiO6 crystal.

Calculated values
ρ = 7.41 g/cm3
MP2020-corrected energy = -154.934 eV/cell
Crystal system = monoclinic

Cell: 5.3464 5.6112 9.3246 Å, 90.00 124.48 90.00°
Last column: nearest neighbours and their distance in Å.
Positions (direct):
1 Sm 0.2332 0.0654 0.2483  6 O 2.31-2.53
2 Sm 0.2332 0.4346 0.7483  6 O 2.31-2.53
3 Sm 0.7668 0.5654 0.2517  6 O 2.31-2.53
4 Sm 0.7668 0.9346 0.7517  6 O 2.31-2.53
5 Co 0.0000 0.0000 0.5000  6 O 1.90-2.02
6 Co 0.0000 0.5000 0.0000  6 O 1.90-2.02
7 Ni 0.5000 0.0000 0.0000  6 O 1.99-2.11
8 Ni 0.5000 0.5000 0.5000  6 O 1.99-2.11
9 O 0.1499 0.2025 0.9501  1 Ni 2.01, 1 Co 2.02
10 O 0.1499 0.2975 0.4501  1 Ni 2.01, 1 Co 2.02
11 O 0.2385 0.6926 0.9535  1 Co 1.90, 1 Ni 2.11
12 O 0.2385 0.8074 0.4535  1 Co 1.90, 1 Ni 2.11
13 O 0.3423 0.0266 0.7490  1 Co 1.99, 1 Ni 1.99
14 O 0.3423 0.4734 0.2490  1 Co 1.99, 1 Ni 1.99
15 O 0.6577 0.5266 0.7510  1 Co 1.99, 1 Ni 1.99
16 O 0.6577 0.9734 0.2510  1 Co 1.99, 1 Ni 1.99
17 O 0.7615 0.1926 0.5465  1 Co 1.90, 1 Ni 2.11
18 O 0.7615 0.3074 0.0465  1 Co 1.90, 1 Ni 2.11
19 O 0.8501 0.7025 0.5499  1 Ni 2.01, 1 Co 2.02
20 O 0.8501 0.7975 0.0499  1 Ni 2.01, 1 Co 2.02